No. 1
The following is a PBE calculation of crystalline Na6Nb3Al5Si6S6O48 at its relaxed geometry, from the Materials Project.

For the volume, the calculation gives 13.09 Å³/atom. The density is 2.881 g cm⁻³. The value obtained for the energy relative to the elements is -2.65 eV per atom. The calculation puts the total energy at -1545.07 eV for the cell shown. The spin magnetization comes out at 0.00 μB per formula unit. Its space-group type is P1.

Unit cell a=17.370 b=8.663 c=22.223 alpha=89.86 beta=90.22 gamma=119.68
Positions (direct):
O (0.089, 0.980, 0.914)
O (0.595, 0.168, 0.091)
O (0.348, 0.176, 0.739)
O (0.598, 0.159, 0.812)
O (0.246, 0.864, 0.362)
O (0.734, 0.166, 0.242)
O (0.821, 0.510, 0.637)
O (0.268, 0.830, 0.479)
O (0.909, 0.017, 0.089)
O (0.920, 0.529, 0.025)
O (0.085, 0.969, 0.193)
O (0.423, 0.315, 0.526)
O (0.940, 0.506, 0.142)
O (0.247, 0.624, 0.863)
O (0.186, 0.888, 0.865)
O (0.978, 0.805, 0.811)
O (0.065, 0.496, 0.858)
O (0.412, 0.031, 0.087)
O (0.099, 0.032, 0.313)
O (0.910, 0.797, 0.587)
O (0.758, 0.647, 0.862)
O (0.410, 0.843, 0.913)
O (0.340, 0.522, 0.527)
O (0.846, 0.529, 0.245)
O (0.915, 0.985, 0.409)
O (0.087, 0.708, 0.477)
O (0.750, 0.861, 0.077)
O (0.181, 0.863, 0.578)
O (0.846, 0.149, 0.029)
O (0.152, 0.474, 0.751)
O (0.247, 0.628, 0.576)
O (0.413, 0.516, 0.739)
O (0.247, 0.142, 0.929)
O (0.566, 0.500, 0.578)
O (0.897, 0.973, 0.694)
O (0.660, 0.481, 0.761)
O (0.845, 0.532, 0.528)
O (0.262, 0.831, 0.759)
O (0.754, 0.365, 0.144)
O (0.248, 0.357, 0.429)
O (0.245, 0.133, 0.635)
O (0.008, 0.187, 0.192)
O (0.684, 0.867, 0.579)
O (0.989, 0.819, 0.087)
O (0.320, 0.507, 0.636)
O (0.770, 0.843, 0.754)
O (0.649, 0.818, 0.976)
O (0.081, 0.191, 0.692)
O (0.414, 0.316, 0.241)
O (0.105, 0.178, 0.087)
O (0.820, 0.513, 0.920)
O (0.816, 0.122, 0.138)
O (0.824, 0.149, 0.428)
O (0.848, 0.163, 0.740)
O (0.984, 0.174, 0.587)
O (0.009, 0.831, 0.693)
O (0.585, 0.717, 0.476)
O (0.346, 0.165, 0.028)
O (0.235, 0.309, 0.028)
O (0.742, 0.297, 0.740)
O (0.085, 0.449, 0.974)
O (0.910, 0.791, 0.304)
O (0.749, 0.138, 0.637)
O (0.768, 0.698, 0.253)
O (0.749, 0.631, 0.578)
O (0.924, 0.350, 0.923)
O (0.924, 0.315, 0.527)
O (0.486, 0.176, 0.584)
O (0.011, 0.169, 0.906)
O (0.654, 0.843, 0.252)
O (0.085, 0.651, 0.072)
O (0.154, 0.846, 0.973)
O (0.187, 0.500, 0.080)
O (0.753, 0.348, 0.428)
O (0.482, 0.790, 0.088)
O (0.422, 0.530, 0.028)
O (0.513, 0.200, 0.914)
O (0.588, 0.976, 0.195)
O (0.934, 0.361, 0.636)
O (0.157, 0.837, 0.254)
O (0.243, 0.190, 0.241)
O (0.253, 0.876, 0.077)
O (0.086, 0.474, 0.257)
O (0.062, 0.625, 0.361)
O (0.432, 0.356, 0.636)
O (0.754, 0.145, 0.923)
O (0.514, 0.847, 0.403)
O (0.103, 0.169, 0.812)
O (0.641, 0.463, 0.476)
O (0.401, 0.966, 0.692)
O (0.749, 0.870, 0.360)
O (0.578, 0.462, 0.974)
O (0.898, 0.816, 0.195)
O (0.422, 0.490, 0.427)
O (0.687, 0.500, 0.361)
O (0.322, 0.140, 0.137)
O (0.604, 0.025, 0.304)
O (0.323, 0.491, 0.930)
O (0.585, 0.689, 0.754)
O (0.409, 0.792, 0.583)
O (0.768, 0.828, 0.477)
O (0.413, 0.790, 0.303)
O (0.679, 0.854, 0.861)
O (0.912, 0.511, 0.740)
O (0.153, 0.468, 0.474)
O (0.317, 0.150, 0.429)
O (0.736, 0.155, 0.527)
O (0.250, 0.356, 0.137)
O (0.519, 0.837, 0.691)
O (0.559, 0.488, 0.866)
O (0.068, 0.496, 0.577)
O (0.734, 0.305, 0.025)
O (0.087, 0.705, 0.758)
O (0.769, 0.694, 0.972)
O (0.577, 0.972, 0.912)
O (0.901, 0.835, 0.912)
O (0.561, 0.618, 0.361)
O (0.584, 0.204, 0.692)
O (0.983, 0.167, 0.312)
O (0.410, 0.986, 0.412)
O (0.582, 0.182, 0.409)
O (0.590, 0.487, 0.253)
O (0.242, 0.304, 0.738)
O (0.269, 0.690, 0.255)
O (0.186, 0.488, 0.365)
O (0.483, 0.788, 0.813)
O (0.422, 0.037, 0.812)
O (0.679, 0.519, 0.073)
O (0.261, 0.697, 0.980)
O (0.090, 0.206, 0.416)
O (0.486, 0.168, 0.311)
O (0.911, 0.033, 0.804)
O (0.512, 0.192, 0.193)
O (0.905, 0.305, 0.242)
O (0.604, 0.032, 0.586)
O (0.349, 0.532, 0.240)
O (0.232, 0.152, 0.526)
O (0.432, 0.362, 0.928)
O (0.399, 0.820, 0.195)
O (0.015, 0.851, 0.409)
O (0.101, 0.027, 0.585)
O (0.430, 0.502, 0.137)
O (0.564, 0.632, 0.079)
O (0.925, 0.491, 0.428)
Nb (0.663, 0.671, 0.808)
Nb (0.500, 0.005, 0.650)
Nb (0.662, 0.657, 0.318)
Nb (0.159, 0.673, 0.311)
Nb (0.006, 0.001, 0.146)
Nb (0.833, 0.338, 0.977)
Nb (0.505, 0.018, 0.143)
Nb (0.005, 0.999, 0.645)
Nb (0.167, 0.652, 0.808)
Na (0.481, 0.674, 0.912)
Na (0.987, 0.976, 0.494)
Na (0.168, 0.315, 0.913)
Na (0.663, 0.658, 0.661)
Na (0.980, 0.295, 0.411)
Na (0.501, 0.003, 0.991)
Na (0.158, 0.660, 0.162)
Na (0.666, 0.656, 0.164)
Na (0.837, 0.340, 0.333)
Na (0.495, 0.988, 0.495)
Na (0.334, 0.328, 0.825)
Na (0.995, 0.994, 0.996)
Na (0.832, 0.334, 0.829)
Na (0.668, 0.030, 0.419)
Na (0.166, 0.025, 0.414)
Na (0.486, 0.301, 0.416)
Na (0.169, 0.671, 0.668)
Na (0.337, 0.337, 0.331)
S (0.359, 0.709, 0.250)
S (0.812, 0.677, 0.917)
S (0.329, 0.051, 0.082)
S (0.170, 0.384, 0.421)
S (0.647, 0.008, 0.251)
S (0.859, 0.009, 0.749)
S (0.168, 0.957, 0.920)
S (0.828, 0.612, 0.582)
S (0.695, 0.049, 0.583)
S (0.977, 0.341, 0.582)
S (0.477, 0.342, 0.582)
S (0.197, 0.342, 0.084)
S (0.195, 0.047, 0.582)
S (0.474, 0.609, 0.084)
S (0.829, 0.040, 0.084)
S (0.856, 0.708, 0.250)
S (0.328, 0.610, 0.581)
S (0.521, 0.374, 0.921)
Si (0.697, 0.355, 0.085)
Si (0.516, 0.670, 0.420)
Si (0.668, 0.374, 0.423)
Si (0.360, 0.010, 0.755)
Si (0.493, 0.708, 0.751)
Si (0.313, 0.675, 0.924)
Si (0.816, 0.954, 0.420)
Si (0.148, 0.020, 0.254)
Si (0.994, 0.704, 0.756)
Si (0.498, 0.292, 0.254)
Si (0.021, 0.365, 0.916)
Si (0.312, 0.955, 0.422)
Si (0.647, 0.277, 0.755)
Si (0.987, 0.623, 0.083)
Si (0.018, 0.672, 0.422)
Si (0.663, 0.952, 0.921)
Si (0.148, 0.281, 0.752)
Si (0.991, 0.281, 0.252)
Al (0.845, 0.354, 0.183)
Al (0.667, 0.665, 0.019)
Al (0.158, 0.648, 0.014)
Al (0.338, 0.338, 0.478)
Al (0.334, 0.326, 0.192)
Al (0.995, 0.992, 0.352)
Al (0.005, 0.007, 0.851)
Al (0.831, 0.347, 0.690)
Al (0.335, 0.333, 0.694)
Al (0.666, 0.671, 0.508)
Al (0.332, 0.336, 0.980)
Al (0.170, 0.679, 0.515)
Al (0.834, 0.334, 0.474)
Al (0.496, 0.008, 0.360)
Al (0.499, 0.989, 0.852)

***

No. 2
The following is a PBE calculation of crystalline Na4NbAlSi3O12 at its relaxed geometry, from the Materials Project.

For the volume, the calculation gives 12.27 Å³/atom. The density is 3.144 g cm⁻³. The value obtained for the energy relative to the elements is -2.92 eV per atom. The calculation puts the total energy at -887.10 eV for the cell shown. The spin magnetization comes out at 0.00 μB per formula unit.

Unit cell a=9.019 b=9.019 c=21.956 alpha=90.00 beta=90.00 gamma=120.00
Positions (direct):
Si (0.293, 0.285, 0.753)
Si (0.381, 0.040, 0.586)
Si (0.326, 0.952, 0.920)
Si (0.993, 0.285, 0.253)
Si (0.659, 0.040, 0.086)
Si (0.048, 0.674, 0.420)
Si (0.626, 0.952, 0.420)
Si (0.659, 0.619, 0.586)
Si (0.048, 0.374, 0.920)
Si (0.381, 0.341, 0.086)
Si (0.715, 0.707, 0.253)
Si (0.993, 0.707, 0.753)
Si (0.293, 0.007, 0.253)
Si (0.960, 0.619, 0.086)
Si (0.626, 0.674, 0.920)
Si (0.326, 0.374, 0.420)
Si (0.715, 0.007, 0.753)
Si (0.960, 0.341, 0.586)
O (0.032, 0.832, 0.692)
O (0.133, 0.499, 0.858)
O (0.835, 0.801, 0.311)
O (0.826, 0.517, 0.745)
O (0.502, 0.367, 0.145)
O (0.168, 0.968, 0.192)
O (0.366, 0.499, 0.358)
O (0.493, 0.851, 0.078)
O (0.501, 0.867, 0.358)
O (0.025, 0.841, 0.412)
O (0.800, 0.968, 0.692)
O (0.834, 0.301, 0.525)
O (0.523, 0.830, 0.754)
O (0.836, 0.025, 0.088)
O (0.835, 0.034, 0.811)
O (0.189, 0.164, 0.088)
O (0.816, 0.841, 0.912)
O (0.199, 0.165, 0.811)
O (0.975, 0.164, 0.588)
O (0.189, 0.025, 0.588)
O (0.025, 0.184, 0.912)
O (0.523, 0.692, 0.254)
O (0.816, 0.975, 0.412)
O (0.149, 0.642, 0.078)
O (0.501, 0.634, 0.858)
O (0.834, 0.533, 0.025)
O (0.865, 0.367, 0.645)
O (0.159, 0.975, 0.912)
O (0.168, 0.200, 0.692)
O (0.633, 0.135, 0.145)
O (0.299, 0.831, 0.978)
O (0.503, 0.359, 0.421)
O (0.836, 0.811, 0.588)
O (0.532, 0.831, 0.478)
O (0.641, 0.144, 0.421)
O (0.358, 0.507, 0.078)
O (0.032, 0.200, 0.192)
O (0.159, 0.184, 0.412)
O (0.170, 0.692, 0.754)
O (0.133, 0.634, 0.358)
O (0.641, 0.497, 0.921)
O (0.699, 0.166, 0.025)
O (0.975, 0.811, 0.088)
O (0.633, 0.498, 0.645)
O (0.467, 0.166, 0.525)
O (0.502, 0.135, 0.645)
O (0.483, 0.174, 0.245)
O (0.503, 0.144, 0.921)
O (0.299, 0.468, 0.478)
O (0.966, 0.165, 0.311)
O (0.199, 0.034, 0.311)
O (0.865, 0.498, 0.145)
O (0.308, 0.477, 0.754)
O (0.856, 0.359, 0.921)
O (0.966, 0.801, 0.811)
O (0.856, 0.497, 0.421)
O (0.800, 0.832, 0.192)
O (0.493, 0.642, 0.578)
O (0.826, 0.309, 0.245)
O (0.169, 0.701, 0.478)
O (0.483, 0.309, 0.745)
O (0.358, 0.851, 0.578)
O (0.366, 0.867, 0.858)
O (0.149, 0.507, 0.578)
O (0.532, 0.701, 0.978)
O (0.467, 0.301, 0.025)
O (0.691, 0.174, 0.745)
O (0.699, 0.533, 0.525)
O (0.170, 0.477, 0.254)
O (0.308, 0.830, 0.254)
O (0.169, 0.468, 0.978)
O (0.691, 0.517, 0.245)
Al (0.667, 0.333, 0.187)
Al (0.000, 0.000, 0.853)
Al (0.667, 0.333, 0.687)
Al (0.000, 0.000, 0.353)
Al (0.333, 0.667, 0.020)
Al (0.333, 0.667, 0.520)
Na (0.667, 0.333, 0.328)
Na (0.667, 0.333, 0.828)
Na (0.635, 0.010, 0.247)
Na (0.969, 0.292, 0.414)
Na (0.041, 0.698, 0.580)
Na (0.969, 0.676, 0.914)
Na (0.990, 0.365, 0.747)
Na (0.302, 0.959, 0.080)
Na (0.324, 0.031, 0.414)
Na (0.657, 0.959, 0.580)
Na (0.990, 0.625, 0.247)
Na (0.657, 0.698, 0.080)
Na (0.000, 0.000, 0.994)
Na (0.333, 0.667, 0.161)
Na (0.375, 0.365, 0.247)
Na (0.302, 0.343, 0.580)
Na (0.635, 0.625, 0.747)
Na (0.708, 0.676, 0.414)
Na (0.000, 0.000, 0.494)
Na (0.041, 0.343, 0.080)
Na (0.708, 0.031, 0.914)
Na (0.375, 0.010, 0.747)
Na (0.333, 0.667, 0.661)
Na (0.324, 0.292, 0.914)
Nb (0.667, 0.333, 0.979)
Nb (0.333, 0.667, 0.812)
Nb (0.667, 0.333, 0.479)
Nb (0.000, 0.000, 0.646)
Nb (0.000, 0.000, 0.146)
Nb (0.333, 0.667, 0.312)